# Si5Mo10P | Materials Project | GGA-PBE | optimized geometry
data_Si5Mo10P
_cell_length_a 9.661
_cell_length_b 9.661
_cell_length_c 4.929
_cell_angle_alpha 90.00
_cell_angle_beta 90.00
_cell_angle_gamma 90.00
_symmetry_space_group_name_H-M 'I 4 2 2'
_symmetry_Int_Tables_number 97
_symmetry_space_group_name_Hall 'I 4 2'
loop_
_atom_site_label
_atom_site_type_symbol
_atom_site_fract_x
_atom_site_fract_y
_atom_site_fract_z
_atom_site_occupancy
Si1 Si 0.000 0.000 0.000 1
Si2 Si 0.168 0.332 0.750 1
Mo1 Mo 0.000 0.500 0.000 1
Mo2 Mo 0.076 0.223 0.252 1
P1 P 0.000 0.000 0.500 1
# Calculated volume = 230 Å³/f.u.
# ΔE_f = -0.38 eV/atom

# Pr2Ta2Cl2O7 | Materials Project | GGA-PBE | optimized geometry
data_Pr2Ta2Cl2O7
_cell_length_a 15.631
_cell_length_b 3.965
_cell_length_c 6.974
_cell_angle_alpha 90.00
_cell_angle_beta 113.69
_cell_angle_gamma 90.00
_symmetry_space_group_name_H-M 'C 1 2/m 1'
_symmetry_Int_Tables_number 12
_symmetry_space_group_name_Hall '-C 2y'
loop_
_atom_site_label
_atom_site_type_symbol
_atom_site_fract_x
_atom_site_fract_y
_atom_site_fract_z
_atom_site_occupancy
Pr1 Pr 0.192 0.000 0.165 1
Ta1 Ta 0.034 0.500 0.798 1
Cl1 Cl 0.179 0.000 0.566 1
O1 O 0.000 0.500 0.500 1
O2 O 0.045 0.000 0.835 1
O3 O 0.080 0.500 0.152 1
O4 O 0.174 0.500 0.930 1
# Calculated volume = 198 Å³/f.u.
# ΔE_f = -3.34 eV/atom

# TePd3 | Materials Project | GGA-PBE | optimized geometry
data_TePd3
_cell_length_a 4.597
_cell_length_b 4.597
_cell_length_c 6.535
_cell_angle_alpha 90.00
_cell_angle_beta 90.00
_cell_angle_gamma 90.00
_symmetry_space_group_name_H-M 'I 4/m m m'
_symmetry_Int_Tables_number 139
_symmetry_space_group_name_Hall '-I 4 2'
loop_
_atom_site_label
_atom_site_type_symbol
_atom_site_fract_x
_atom_site_fract_y
_atom_site_fract_z
_atom_site_occupancy
Te1 Te 0.000 0.000 0.000 1
Pd1 Pd 0.000 0.000 0.500 1
Pd2 Pd 0.000 0.500 0.250 1
# Calculated volume = 69 Å³/f.u.
# ΔE_f = -0.24 eV/atom